1.
A geometry-optimized Li3Sc2P3O12 structure. Source: the Materials Project, functional PBE-GGA.

a = 8.9125 Å, b = 8.9584 Å, c = 15.3149 Å
α = 54.18°, β = 90.00°, γ = 90.00°
Closest atoms and distances in Å follow each position.
Positions (direct):
Li: 0.7937 0.3190 0.2555  4 O 2.00-2.19
Li: 0.2937 0.6810 0.2445  4 O 2.00-2.19
Li: 0.2063 0.6810 0.7445  4 O 2.00-2.19
Li: 0.7063 0.3190 0.7555  4 O 2.00-2.19
Li: 0.9152 0.6213 0.3000  2 O 1.95-2.00
Li: 0.4152 0.3787 0.2000  2 O 1.95-2.00
Li: 0.0848 0.3787 0.7000  2 O 1.95-2.00
Li: 0.5848 0.6213 0.8000  2 O 1.95-2.00
Li: 0.7676 0.0312 0.1796  4 O 1.98-2.04
Li: 0.2676 0.9688 0.3204  4 O 1.98-2.04
Li: 0.2324 0.9688 0.8204  4 O 1.98-2.04
Li: 0.7324 0.0312 0.6796  4 O 1.98-2.04
Sc: 0.9659 0.6404 0.1057  5 O 1.99-2.22
Sc: 0.4659 0.3596 0.3943  5 O 1.99-2.22
Sc: 0.0341 0.3596 0.8943  5 O 1.99-2.22
Sc: 0.5341 0.6404 0.6057  5 O 1.99-2.22
Sc: 0.9524 0.8620 0.3934  6 O 1.98-2.20
Sc: 0.4524 0.1380 0.1066  6 O 1.98-2.20
Sc: 0.0476 0.1380 0.6066  6 O 1.98-2.20
Sc: 0.5476 0.8620 0.8934  6 O 1.98-2.20
P: 0.7455 0.4525 0.0096  4 O 1.53-1.55
P: 0.2455 0.5475 0.4904  4 O 1.53-1.55
P: 0.2545 0.5475 0.9904  4 O 1.53-1.55
P: 0.7545 0.4525 0.5096  4 O 1.53-1.55
P: 0.6132 0.7453 0.1529  4 O 1.54-1.57
P: 0.1132 0.2547 0.3471  4 O 1.54-1.57
P: 0.3868 0.2547 0.8471  4 O 1.54-1.57
P: 0.8868 0.7453 0.6529  4 O 1.54-1.57
P: 0.5950 0.0501 0.3475  4 O 1.52-1.56
P: 0.0950 0.9499 0.1525  4 O 1.52-1.56
P: 0.4050 0.9499 0.6525  4 O 1.52-1.56
P: 0.9050 0.0501 0.8475  4 O 1.52-1.56
O: 0.7737 0.6651 0.1900  1 P 1.55
O: 0.2737 0.3349 0.3100  1 P 1.55
O: 0.2263 0.3349 0.8100  1 P 1.55
O: 0.7263 0.6651 0.6900  1 P 1.55
O: 0.7545 0.0341 0.3113  1 P 1.56
O: 0.2545 0.9659 0.1887  1 P 1.56
O: 0.2455 0.9659 0.6887  1 P 1.56
O: 0.7455 0.0341 0.8113  1 P 1.56
O: 0.6291 0.4464 0.4431  1 P 1.53
O: 0.1291 0.5536 0.0569  1 P 1.53
O: 0.3709 0.5536 0.5569  1 P 1.53
O: 0.8709 0.4464 0.9431  1 P 1.53
O: 0.6614 0.2656 0.0720  1 P 1.55
O: 0.1614 0.7344 0.4280  1 P 1.55
O: 0.3386 0.7344 0.9280  1 P 1.55
O: 0.8386 0.2656 0.5720  1 P 1.55
O: 0.8075 0.4784 0.0945  1 P 1.55
O: 0.3075 0.5216 0.4055  1 P 1.55
O: 0.1925 0.5216 0.9055  1 P 1.55
O: 0.6925 0.4784 0.5945  1 P 1.55
O: 0.8608 0.6134 0.4290  1 P 1.55
O: 0.3608 0.3866 0.0710  1 P 1.55
O: 0.1392 0.3866 0.5710  1 P 1.55
O: 0.6392 0.6134 0.9290  1 P 1.55
O: 0.5903 0.8125 0.0354  1 P 1.54
O: 0.0903 0.1875 0.4646  1 P 1.54
O: 0.4097 0.1875 0.9646  1 P 1.54
O: 0.9097 0.8125 0.5354  1 P 1.54
O: 0.5615 0.8849 0.4621  1 P 1.52
O: 0.0615 0.1151 0.0379  1 P 1.52
O: 0.4385 0.1151 0.5379  1 P 1.52
O: 0.9385 0.8849 0.9621  1 P 1.52
O: 0.9902 0.4031 0.2767  1 P 1.57
O: 0.4902 0.5969 0.2233  1 P 1.57
O: 0.0098 0.5969 0.7233  1 P 1.57
O: 0.5098 0.4031 0.7767  1 P 1.57
O: 0.9715 0.9285 0.2308  1 P 1.55
O: 0.4715 0.0715 0.2692  1 P 1.55
O: 0.0285 0.0715 0.7692  1 P 1.55
O: 0.5285 0.9285 0.7308  1 P 1.55
O: 0.5974 0.2366 0.3346  1 P 1.56
O: 0.0974 0.7634 0.1654  1 P 1.56
O: 0.4026 0.7634 0.6654  1 P 1.56
O: 0.9026 0.2366 0.8346  1 P 1.56
O: 0.5939 0.9066 0.1632  1 P 1.55
O: 0.0939 0.0934 0.3368  1 P 1.55
O: 0.4061 0.0934 0.8368  1 P 1.55
O: 0.9061 0.9066 0.6632  1 P 1.55

Summary:
ΔH_f (0 K) ... -301.2 kJ/mol of atoms
Calculated density ... 2651 kg/m³
Total DFT energy (no corrections) ... -148.2 eV per formula unit

2.
A geometry-optimized Li2ScP2O8 structure. Source: the Materials Project, functional PBE-GGA.

a = 8.3837 Å, b = 4.9847 Å, c = 8.3499 Å
α = 64.45°, β = 90.00°, γ = 90.00°
Closest atoms and distances in Å follow each position.
Positions (direct):
Li: 0.8704 0.4421 0.1662  4 O 1.98-2.11
Li: 0.6296 0.4421 0.6662  4 O 1.98-2.11
Li: 0.1296 0.5579 0.8338  4 O 1.98-2.11
Li: 0.3704 0.5579 0.3338  4 O 1.98-2.11
Sc: 0.5000 0.5000 0.0000  6 O 2.08-2.18
Sc: 0.0000 0.5000 0.5000  6 O 2.08-2.18
P: 0.6557 0.8412 0.2660  4 O 1.55-1.56
P: 0.8443 0.8412 0.7660  4 O 1.55-1.56
P: 0.3443 0.1588 0.7340  4 O 1.55-1.56
P: 0.1557 0.1588 0.2340  4 O 1.55-1.56
O: 0.6746 0.1834 0.1718  1 P 1.55
O: 0.8254 0.1834 0.6718  1 P 1.55
O: 0.3254 0.8166 0.8282  1 P 1.55
O: 0.1746 0.8166 0.3282  1 P 1.55
O: 0.8197 0.6844 0.3101  1 P 1.55
O: 0.6803 0.6844 0.8101  1 P 1.55
O: 0.1803 0.3156 0.6899  1 P 1.55
O: 0.3197 0.3156 0.1899  1 P 1.55
O: 0.5578 0.7326 0.1481  1 P 1.55
O: 0.9422 0.7326 0.6481  1 P 1.55
O: 0.4422 0.2674 0.8519  1 P 1.55
O: 0.0578 0.2674 0.3519  1 P 1.55
O: 0.5566 0.7605 0.4384  1 P 1.56
O: 0.9434 0.7605 0.9384  1 P 1.56
O: 0.4434 0.2395 0.5616  1 P 1.56
O: 0.0566 0.2395 0.0616  1 P 1.56

Summary:
ΔH_f (0 K) ... -276.6 kJ/mol of atoms
Calculated density ... 2624 kg/m³
Total DFT energy (no corrections) ... -92.3 eV per formula unit

3.
A geometry-optimized Li11Sc7TiP12O48 structure. Source: the Materials Project, functional PBE-GGA.

a = 9.4987 Å, b = 9.9554 Å, c = 10.1829 Å
α = 89.96°, β = 92.51°, γ = 96.16°
Closest atoms and distances in Å follow each position.
Positions (direct):
Li: 0.2194 0.2696 0.7513  3 O 1.94-2.06
Li: 0.9365 0.1778 0.8370  3 O 1.94-2.01
Li: 0.3492 0.6507 0.6920  3 O 1.92-2.03
Li: 0.6406 0.6969 0.7467  3 O 1.89-2.08
Li: 0.2424 0.4313 0.5412  5 O 2.02-2.26
Li: 0.6345 0.6094 0.5196  3 O 1.82-1.99
Li: 0.3327 0.2507 0.2549  3 O 1.97-2.14
Li: 0.6939 0.2058 0.3358  1 O 2.06
Li: 0.7443 0.7659 0.2156  4 O 1.90-2.09
Li: 0.1882 0.7806 0.1353  2 O 1.89-1.94
Li: 0.7631 0.1517 0.0488  2 O 1.97-2.04
Sc: 0.9817 0.6396 0.7492  3 O 1.94-2.10
Sc: 0.5183 0.4129 0.7799  1 O 1.82
Sc: 0.5751 0.0560 0.7589  3 O 2.00-2.06
Sc: 0.4492 0.9592 0.2544  6 O 2.07-2.30
Sc: 0.5936 0.5141 0.2513  1 O 1.81
Sc: 0.0157 0.0859 0.2849  3 O 1.94-2.10
Sc: 0.9895 0.4174 0.2602  5 O 2.04-2.19
Ti: 0.2004 0.9464 0.7448  3 O 1.75-1.92
P: 0.5033 0.7494 0.0013  4 O 1.51-1.65
P: 0.7930 0.8739 0.9212  3 O 1.50-1.55
P: 0.2441 0.5350 0.9763  1 O 1.51
P: 0.7573 0.3539 0.5878  3 O 1.54-1.60
P: 0.3279 0.1338 0.4927  4 O 1.54-1.59
P: 0.9498 0.2559 0.5442  3 O 1.52-1.58
P: 0.0090 0.8355 0.4952  3 O 1.57-1.72
P: 0.7010 0.9085 0.5195  4 O 1.50-1.67
P: 0.2658 0.6470 0.3747  4 O 1.50-1.67
P: 0.7595 0.4113 0.0045  4 O 1.51-1.68
P: 0.1919 0.0881 0.0293  3 O 1.55-1.58
P: 0.4213 0.1497 0.9928  3 O 1.56-1.59
O: 0.5726 0.1227 0.9471  1 P 1.58
O: 0.3878 0.2766 0.9121  1 P 1.56
O: 0.8450 0.3072 0.9480  1 P 1.51
O: 0.1182 0.0624 0.8877  1 P 1.58
O: 0.6157 0.8281 0.9006  2 P 1.65-1.70
O: 0.4015 0.6647 0.9016  1 P 1.55
O: 0.3810 0.9906 0.8163  1 Ti 1.84, 1 Sc 2.00
O: 0.6942 0.4982 0.8983  1 P 1.54
O: 0.8463 0.7713 0.8257  1 P 1.55
O: 0.1601 0.7742 0.7782  1 Ti 1.75
O: 0.1564 0.4964 0.8272  1 O 1.50
O: 0.7949 0.0182 0.8664  1 P 1.54
O: 0.5228 0.5530 0.6654  1 Sc 1.82, 3 Li 1.89-2.03
O: 0.3327 0.0048 0.5778  1 P 1.55
O: 0.6462 0.2766 0.6835  1 P 1.60
O: 0.3294 0.2581 0.5828  1 P 1.54
O: 0.2680 0.4628 0.7372  1 O 1.50
O: 0.7085 0.0321 0.6084  1 P 1.52
O: 0.8271 0.4820 0.6597  1 P 1.54
O: 0.0264 0.2362 0.6762  1 P 1.52
O: 0.6111 0.7949 0.5827  1 P 1.50
O: 0.2569 0.6583 0.5213  1 P 1.50
O: 0.9714 0.6969 0.5669  1 P 1.57
O: 0.0546 0.9424 0.6083  1 P 1.58
O: 0.0326 0.3678 0.4588  1 P 1.58
O: 0.9141 0.1306 0.4562  1 P 1.53
O: 0.6885 0.3754 0.4497  1 P 1.55
O: 0.4495 0.1404 0.3952  1 P 1.55
O: 0.8387 0.8716 0.4593  2 P 1.55-1.72
O: 0.1328 0.5883 0.2955  1 P 1.53
O: 0.1957 0.1276 0.3907  1 P 1.59
O: 0.8329 0.5423 0.2287  1 O 1.52
O: 0.3251 0.7786 0.3059  1 P 1.55
O: 0.6490 0.6640 0.3497  1 Sc 1.81, 2 Li 1.82-1.90
O: 0.3685 0.5210 0.3767  1 O 1.50, 1 P 1.67
O: 0.6321 0.9799 0.3860  1 O 1.49
O: 0.1583 0.9706 0.1283  1 P 1.56
O: 0.8832 0.5099 0.0936  1 O 1.52, 1 P 1.68
O: 0.1520 0.2140 0.1018  1 P 1.55
O: 0.9015 0.2251 0.2212  2 Sc 1.94-2.04
O: 0.3731 0.4492 0.2472  1 O 1.50
O: 0.6657 0.9486 0.2485  1 O 1.49
O: 0.6520 0.3618 0.1062  1 P 1.53
O: 0.4502 0.1456 0.1473  1 P 1.59
O: 0.8413 0.8668 0.0632  1 P 1.50
O: 0.1427 0.6295 0.0240  1 P 1.51
O: 0.5870 0.6641 0.0919  1 P 1.51
O: 0.4292 0.8558 0.0718  1 P 1.53

Summary:
ΔH_f (0 K) ... -239.4 kJ/mol of atoms
Calculated density ... 2741 kg/m³
Total DFT energy (no corrections) ... -549.4 eV per formula unit

4.
A geometry-optimized LiSiPO5 structure. Source: the Materials Project, functional PBE-GGA.

a = 6.1085 Å, b = 7.3707 Å, c = 6.6404 Å
α = 90.00°, β = 90.00°, γ = 90.00°
Closest atoms and distances in Å follow each position.
Positions (direct):
Li: 0.0000 0.0000 0.0000  6 O 2.01-2.15
Li: 0.5000 0.5000 0.5000  6 O 2.01-2.15
Li: 0.5000 0.0000 0.0000  6 O 2.01-2.15
Li: 0.0000 0.5000 0.5000  6 O 2.01-2.15
Si: 0.2500 0.7712 0.6400  5 O 1.71-1.84
Si: 0.2500 0.7288 0.1400  5 O 1.71-1.84
Si: 0.7500 0.2288 0.3600  5 O 1.71-1.84
Si: 0.7500 0.2712 0.8600  5 O 1.71-1.84
P: 0.7500 0.8845 0.6210  4 O 1.54-1.56
P: 0.7500 0.6155 0.1210  4 O 1.54-1.56
P: 0.2500 0.1155 0.3790  4 O 1.54-1.56
P: 0.2500 0.3845 0.8790  4 O 1.54-1.56
O: 0.7500 0.0153 0.8049  1 P 1.56
O: 0.7500 0.4847 0.3049  1 P 1.56
O: 0.2500 0.9847 0.1951  1 P 1.56
O: 0.2500 0.5153 0.6951  1 P 1.56
O: 0.5507 0.7573 0.6306  1 P 1.54
O: 0.9493 0.7427 0.1306  1 P 1.54
O: 0.0507 0.2427 0.3694  1 P 1.54
O: 0.4493 0.2573 0.8694  1 P 1.54
O: 0.4493 0.2427 0.3694  1 P 1.54
O: 0.0507 0.2573 0.8694  1 P 1.54
O: 0.9493 0.7573 0.6306  1 P 1.54
O: 0.5507 0.7427 0.1306  1 P 1.54
O: 0.7500 0.9981 0.4263  1 P 1.54
O: 0.7500 0.5019 0.9263  1 P 1.54
O: 0.2500 0.0019 0.5737  1 P 1.54
O: 0.2500 0.4981 0.0737  1 P 1.54
O: 0.2500 0.8195 0.8920  2 Si 1.71-1.78
O: 0.2500 0.6805 0.3920  2 Si 1.71-1.78
O: 0.7500 0.1805 0.1080  2 Si 1.71-1.78
O: 0.7500 0.3195 0.6080  2 Si 1.71-1.78

Summary:
ΔH_f (0 K) ... -270.9 kJ/mol of atoms
Calculated density ... 3244 kg/m³
Total DFT energy (no corrections) ... -56.5 eV per formula unit

5.
A geometry-optimized LiSmP4O12 structure. Source: the Materials Project, functional PBE-GGA.

a = 9.0229 Å, b = 9.0229 Å, c = 9.8149 Å
α = 57.10°, β = 57.10°, γ = 46.60°
Closest atoms and distances in Å follow each position.
Positions (direct):
Li: 0.7974 0.2026 0.7500  4 O 1.99-2.01
Li: 0.2026 0.7974 0.2500  4 O 1.99-2.01
Sm: 0.7006 0.2994 0.2500  8 O 2.36-2.59
Sm: 0.2994 0.7006 0.7500  8 O 2.36-2.59
P: 0.1927 0.0835 0.3379  4 O 1.50-1.61
P: 0.9165 0.8073 0.1621  4 O 1.50-1.61
P: 0.8073 0.9165 0.6621  4 O 1.50-1.61
P: 0.0835 0.1927 0.8379  4 O 1.50-1.61
P: 0.8032 0.4924 0.4025  4 O 1.50-1.62
P: 0.5076 0.1968 0.0975  4 O 1.50-1.62
P: 0.1968 0.5076 0.5975  4 O 1.50-1.62
P: 0.4924 0.8032 0.9025  4 O 1.50-1.62
O: 0.3301 0.8972 0.4540  1 P 1.50
O: 0.1028 0.6699 0.0460  1 P 1.50
O: 0.6699 0.1028 0.5460  1 P 1.50
O: 0.8972 0.3301 0.9540  1 P 1.50
O: 0.0378 0.2804 0.4148  2 P 1.61-1.62
O: 0.7196 0.9622 0.0852  2 P 1.61-1.62
O: 0.9622 0.7196 0.5852  2 P 1.61-1.62
O: 0.2804 0.0378 0.9148  2 P 1.61-1.62
O: 0.6662 0.4813 0.5827  1 P 1.51
O: 0.5187 0.3338 0.9173  1 P 1.51
O: 0.3338 0.5187 0.4173  1 P 1.51
O: 0.4813 0.6662 0.0827  1 P 1.51
O: 0.7438 0.5129 0.2746  1 P 1.50
O: 0.4871 0.2562 0.2254  1 P 1.50
O: 0.2562 0.4871 0.7254  1 P 1.50
O: 0.5129 0.7438 0.7746  1 P 1.50
O: 0.0700 0.0624 0.2967  1 P 1.51
O: 0.9376 0.9300 0.2033  1 P 1.51
O: 0.9300 0.9376 0.7033  1 P 1.51
O: 0.0624 0.0700 0.7967  1 P 1.51
O: 0.3283 0.1603 0.1571  2 P 1.60-1.61
O: 0.8397 0.6717 0.3429  2 P 1.60-1.61
O: 0.6717 0.8397 0.8429  2 P 1.60-1.61
O: 0.1603 0.3283 0.6571  2 P 1.60-1.61

Summary:
ΔH_f (0 K) ... -282.5 kJ/mol of atoms
Calculated density ... 3357 kg/m³
Total DFT energy (no corrections) ... -132.1 eV per formula unit

6.
A geometry-optimized LiSnPO4 structure. Source: the Materials Project, functional PBE-GGA.

a = 10.0073 Å, b = 5.7640 Å, c = 8.9634 Å
α = 58.51°, β = 90.00°, γ = 90.00°
Closest atoms and distances in Å follow each position.
Positions (direct):
Li: 0.1672 0.7899 0.5038  3 O 1.91-2.01
Li: 0.6672 0.2101 0.9962  3 O 1.91-2.01
Li: 0.3328 0.7899 0.0038  3 O 1.91-2.01
Li: 0.8328 0.2101 0.4962  3 O 1.91-2.01
Sn: 0.6413 0.7584 0.4838  3 O 2.22-2.26
Sn: 0.1413 0.2416 0.0162  3 O 2.22-2.26
Sn: 0.8587 0.7584 0.9838  3 O 2.22-2.26
Sn: 0.3587 0.2416 0.5162  3 O 2.22-2.26
P: 0.4075 0.1152 0.2229  4 O 1.53-1.59
P: 0.9075 0.8848 0.2771  4 O 1.53-1.59
P: 0.0925 0.1152 0.7229  4 O 1.53-1.59
P: 0.5925 0.8848 0.7771  4 O 1.53-1.59
O: 0.6306 0.5886 0.8482  1 P 1.53
O: 0.8290 0.9938 0.3790  1 P 1.56
O: 0.3663 0.9451 0.4237  1 P 1.59
O: 0.5599 0.0630 0.2171  1 P 1.56
O: 0.0599 0.9370 0.2829  1 P 1.56
O: 0.8663 0.0549 0.0763  1 P 1.59
O: 0.3290 0.0062 0.1210  1 P 1.56
O: 0.1306 0.4114 0.6518  1 P 1.53
O: 0.8694 0.5886 0.3482  1 P 1.53
O: 0.6710 0.9938 0.8790  1 P 1.56
O: 0.1337 0.9451 0.9237  1 P 1.59
O: 0.9401 0.0630 0.7171  1 P 1.56
O: 0.4401 0.9370 0.7829  1 P 1.56
O: 0.6337 0.0549 0.5763  1 P 1.59
O: 0.1710 0.0062 0.6210  1 P 1.56
O: 0.3694 0.4114 0.1518  1 P 1.53

Summary:
ΔH_f (0 K) ... -236.8 kJ/mol of atoms
Calculated density ... 3324 kg/m³
Total DFT energy (no corrections) ... -45.6 eV per formula unit